First-principles (PBE-GGA) data for a geometry-optimized Rb2NaTbF6 structure, as listed in Materials Project.

abc: 9.005 9.005 9.005
angles: 90.00 90.00 90.00
Space group Fm-3m (No. 225)
Inequivalent atoms, fractional coordinates:
Rb 0.250 0.250 0.250
Na 0.000 0.000 0.000
Tb 0.000 0.000 0.500
F 0.000 0.000 0.257

## Properties
M_tot in μB/cell: 0.00
Crystal system: cubic
Energy in eV per atom: -5.24
Volume in A^3/atom: 18.25

=====

First-principles (PBE-GGA) data for a geometry-optimized Rb2NaTiF6 structure, as listed in Materials Project.

abc: 8.665 8.665 8.665
angles: 90.00 90.00 90.00
Space group Fm-3m (No. 225)
Inequivalent atoms, fractional coordinates:
Rb 0.250 0.250 0.250
Na 0.000 0.000 0.000
Ti 0.000 0.000 0.500
F 0.000 0.000 0.269

## Properties
M_tot in μB/cell: 4.00
Crystal system: cubic
Energy in eV per atom: -5.30
Volume in A^3/atom: 16.27

=====

First-principles (PBE-GGA) data for a geometry-optimized Rb2NaYF6 structure, as listed in Materials Project.

abc: 9.027 9.027 9.027
angles: 90.00 90.00 90.00
Space group Fm-3m (No. 225)
Inequivalent atoms, fractional coordinates:
Rb 0.250 0.250 0.250
Na 0.000 0.000 0.000
Y 0.000 0.000 0.500
F 0.000 0.000 0.258

## Properties
M_tot in μB/cell: 0.00
Crystal system: cubic
Energy in eV per atom: -5.42
Volume in A^3/atom: 18.39

=====

First-principles (PBE-GGA) data for a geometry-optimized Na3RhF6 structure, as listed in Materials Project.

abc: 8.351 8.351 8.351
angles: 90.00 90.00 90.00
Space group Fm-3m (No. 225)
Inequivalent atoms, fractional coordinates:
Na 0.000 0.000 0.000
Na 0.250 0.250 0.250
Rh 0.000 0.000 0.500
F 0.000 0.000 0.261

## Properties
Crystal system: cubic
Energy in eV per atom: -4.49
Volume in A^3/atom: 14.56

=====

First-principles (PBE-GGA) data for a geometry-optimized NaSbF4 structure, as listed in Materials Project.

abc: 8.162 5.708 8.635
angles: 90.00 90.58 90.00
Space group P2_1/c (No. 14)
Inequivalent atoms, fractional coordinates:
Na 0.144 0.210 0.335
Sb 0.330 0.710 0.150
F 0.113 0.624 0.674
F 0.181 0.073 0.587
F 0.291 0.565 0.358
F 0.401 0.004 0.295

## Properties
Crystal system: monoclinic
Energy in eV per atom: -4.71
Volume in A^3/atom: 16.76

=====

First-principles (PBE-GGA) data for a geometry-optimized Na2SbF5 structure, as listed in Materials Project.

abc: 5.556 8.240 11.418
angles: 90.00 90.00 90.00
Space group P2_12_12_1 (No. 19)
Inequivalent atoms, fractional coordinates:
Na 0.011 0.102 0.239
Na 0.070 0.644 0.935
Sb 0.002 0.075 0.884
F 0.110 0.009 0.715
F 0.145 0.555 0.444
F 0.177 0.354 0.198
F 0.182 0.364 0.626
F 0.228 0.101 0.428

## Properties
Largest piezoelectric modulus in C/m²: 0.1
Crystal system: orthorhombic
Energy in eV per atom: -4.63
Volume in A^3/atom: 16.34

=====

First-principles (PBE-GGA) data for a geometry-optimized NaScTl2F6 structure, as listed in Materials Project.

abc: 8.751 8.751 8.751
angles: 90.00 90.00 90.00
Space group Fm-3m (No. 225)
Inequivalent atoms, fractional coordinates:
Na 0.000 0.000 0.000
Sc 0.000 0.000 0.500
Tl 0.250 0.250 0.250
F 0.000 0.000 0.267

## Properties
M_tot in μB/cell: 0.00
Crystal system: cubic
Energy in eV per atom: -5.26
Volume in A^3/atom: 16.76

=====

First-principles (PBE-GGA) data for a geometry-optimized Na2SiF6 structure, as listed in Materials Project.

abc: 9.3451 9.3451 4.5820
angles: 90.00 90.00 120.00
Space group P-3m1 (No. 164)
Inequivalent atoms, fractional coordinates:
Na 0.0000 0.3432 0.0000
Si 0.0000 0.0000 0.0000
Si 0.3333 0.6667 0.5001
F 0.0883 0.1765 0.2094
F 0.1584 0.5792 0.2839
F 0.2459 0.4917 0.7143

## Properties
M_tot in μB/cell: 0.00
Crystal system: trigonal
Energy in eV per atom: -5.18
Volume in A^3/atom: 12.83

=====

First-principles (PBE-GGA) data for a geometry-optimized Na2SiF6 structure, as listed in Materials Project.

abc: 9.0200 9.0200 5.1148
angles: 90.00 90.00 120.00
Space group P321 (No. 150)
Inequivalent atoms, fractional coordinates:
Na 0.0000 0.2884 0.0000
Na 0.0000 0.6228 0.5000
Si 0.0000 0.0000 0.5000
Si 0.3333 0.6667 0.0065
F 0.0849 0.9045 0.3083
F 0.1546 0.5578 0.2004
F 0.2269 0.7397 0.8130

## Properties
Largest piezoelectric modulus in C/m²: 0.1
Crystal system: trigonal
Energy in eV per atom: -5.24
Volume in A^3/atom: 13.35

=====

First-principles (PBE-GGA) data for a geometry-optimized Na2SnF6 structure, as listed in Materials Project.

abc: 5.157 5.157 10.280
angles: 90.00 90.00 90.00
Space group P4_2/mnm (No. 136)
Inequivalent atoms, fractional coordinates:
Na 0.000 0.000 0.163
Sn 0.000 0.000 0.500
F 0.185 0.185 0.356
F 0.224 0.224 0.000

## Properties
Crystal system: tetragonal
Energy in eV per atom: -4.70
Volume in A^3/atom: 15.19

=====

First-principles (PBE-GGA) data for a geometry-optimized NaSrTiF6 structure, as listed in Materials Project.

abc: 5.522 9.615 10.464
angles: 90.00 90.00 90.00
Space group P2_12_12_1 (No. 19)
Inequivalent atoms, fractional coordinates:
Na 0.044 0.148 0.085
Sr 0.006 0.687 0.824
Ti 0.037 0.499 0.126
F 0.143 0.997 0.534
F 0.162 0.836 0.317
F 0.206 0.644 0.588
F 0.214 0.124 0.296
F 0.221 0.519 0.286
F 0.221 0.663 0.046

## Properties
M_tot in μB/cell: 4.00
Crystal system: orthorhombic
Energy in eV per atom: -5.88
Volume in A^3/atom: 15.43

=====

First-principles (PBE-GGA) data for a geometry-optimized Na3TaF8 structure, as listed in Materials Project.

abc: 11.748 5.448 11.351
angles: 90.00 121.04 90.00
Space group C2/c (No. 15)
Inequivalent atoms, fractional coordinates:
Na 0.000 0.000 0.000
Na 0.218 0.494 0.103
Ta 0.000 0.437 0.250
F 0.017 0.358 0.611
F 0.108 0.217 0.416
F 0.131 0.241 0.215
F 0.171 0.376 0.860

## Properties
Crystal system: monoclinic
Energy in eV per atom: -5.65
Volume in A^3/atom: 12.97